# Mg6NiW (PBE, optimized geometry)
data_Mg6NiW
_chemical_formula_sum 'Mg12 Ni2 W2'
_symmetry_space_group_name_H-M 'P 1'
_symmetry_Int_Tables_number 1
_cell_length_a 4.780
_cell_length_b 5.752
_cell_length_c 10.671
_cell_angle_alpha 90.00
_cell_angle_beta 90.00
_cell_angle_gamma 90.00
loop_
_symmetry_equiv_pos_as_xyz
'x,y,z'
loop_
_atom_site_label
_atom_site_type_symbol
_atom_site_fract_x
_atom_site_fract_y
_atom_site_fract_z
W1 W 0.500 0.000 0.678
Mg1 Mg 0.000 0.244 0.584
Mg2 Mg 0.000 0.500 0.322
Mg3 Mg 0.000 0.256 0.084
Mg4 Mg 0.000 0.500 0.812
Mg5 Mg 0.000 0.000 0.822
Mg6 Mg 0.000 0.756 0.584
Mg7 Mg 0.000 0.000 0.312
W2 W 0.500 0.500 0.178
Mg8 Mg 0.500 0.751 0.927
Mg9 Mg 0.500 0.251 0.427
Mg10 Mg 0.000 0.744 0.084
Mg11 Mg 0.500 0.749 0.427
Ni1 Ni 0.500 0.500 0.668
Ni2 Ni 0.500 0.000 0.168
Mg12 Mg 0.500 0.249 0.927
# Calculated volume ... 293.4 Å³ per cell
# VASP energy ... -51.775 eV per cell
# ΔE_f ... 306.5 meV/atom

# ScO2 (PBE, optimized geometry)
data_ScO2
_chemical_formula_sum 'Sc2 O4'
_symmetry_space_group_name_H-M 'P 1'
_symmetry_Int_Tables_number 1
_cell_length_a 3.360
_cell_length_b 3.971
_cell_length_c 6.049
_cell_angle_alpha 90.00
_cell_angle_beta 106.13
_cell_angle_gamma 90.00
loop_
_symmetry_equiv_pos_as_xyz
'x,y,z'
loop_
_atom_site_label
_atom_site_type_symbol
_atom_site_fract_x
_atom_site_fract_y
_atom_site_fract_z
O1 O 0.948 0.250 0.895
Sc1 Sc 0.336 0.250 0.673
O2 O 0.284 0.750 0.569
Sc2 Sc 0.664 0.750 0.327
O3 O 0.716 0.250 0.431
O4 O 0.052 0.750 0.105
# Calculated volume ... 77.5 Å³ per cell
# VASP energy ... -47.583 eV per cell
# ΔE_f ... -2979.1 meV/atom
# Space group ... Cmcm